A relaxed Lu4Ge6Os7 crystal, computed with PBE.

Values from the calculation:
calculated volume = 16.902 A^3/atom
energy of formation from the pure elements = -0.441 eV per atom
space-group type = No. 229
total energy = -7.759 eV per atom

Cell lengths 7.2001, 7.2001, 7.2001 Å; angles 109.47, 109.47, 109.47 degrees
Last column: nearest neighbours and their distance in Å.
Fractional positions:
1 Lu 0.0000 0.0000 0.5000  6 Os 2.94, 6 Ge 2.98
2 Lu 0.0000 0.5000 0.0000  6 Os 2.94, 6 Ge 2.98
3 Lu 0.5000 0.0000 0.0000  6 Os 2.94, 6 Ge 2.98
4 Lu 0.5000 0.5000 0.5000  6 Os 2.94, 6 Ge 2.98
5 Ge 0.0000 0.3098 0.3098  5 Os 2.58-2.61
6 Ge 0.0000 0.6902 0.6902  5 Os 2.58-2.61
7 Ge 0.3098 0.0000 0.3098  5 Os 2.58-2.61
8 Ge 0.3098 0.3098 0.0000  5 Os 2.58-2.61
9 Ge 0.6902 0.0000 0.6902  5 Os 2.58-2.61
10 Ge 0.6902 0.6902 0.0000  5 Os 2.58-2.61
11 Os 0.0000 0.0000 0.0000  6 Ge 2.58
12 Os 0.2500 0.5000 0.7500  4 Ge 2.61
13 Os 0.2500 0.7500 0.5000  4 Ge 2.61
14 Os 0.5000 0.2500 0.7500  4 Ge 2.61
15 Os 0.5000 0.7500 0.2500  4 Ge 2.61
16 Os 0.7500 0.2500 0.5000  4 Ge 2.61
17 Os 0.7500 0.5000 0.2500  4 Ge 2.61